Density functional theory data (r2SCAN) for a relaxed La2Al9Rh3 crystal.

abc: 13.1418 7.7300 9.6344
angles: 90.00 90.00 90.00
Last column: nearest neighbours and their distance in Å.
Space group Cmcm (No. 63)
One atom of each set of equivalent atoms:
La1 0.1618 0.1664 0.2500 (multiplicity 8)  11 Al 3.11-3.22, 2 Rh 3.46
Al1 0.0000 0.1342 0.7500 (multiplicity 4)  2 Rh 2.62, 6 Al 2.74-2.78
Al2 0.0000 0.3351 0.0392 (multiplicity 8)  3 Rh 2.61-2.62, 3 Al 2.66-2.74
Al3 0.1026 0.4430 0.7500 (multiplicity 8)  2 Rh 2.61, 4 Al 2.70-2.83
Al4 0.1654 0.1709 0.5728 (multiplicity 16)  3 Rh 2.62-2.64, 4 Al 2.74-2.90
Rh1 0.0000 0.0000 0.0000 (multiplicity 4)  8 Al 2.62-2.64
Rh2 0.1709 0.5000 0.0000 (multiplicity 8)  8 Al 2.61-2.64

Output
V (A^3/atom): 17.48
Total magnetization (μB/atom): 0.0000
Energy (eV/atom): -14.59
Formation energy (eV per atom): -0.84

---

Density functional theory data (r2SCAN) for a relaxed ZnAs2 crystal.

abc: 9.2633 7.6944 8.0239
angles: 90.00 102.50 90.00
Last column: nearest neighbours and their distance in Å.
Space group P2_1/c (No. 14)
One atom of each set of equivalent atoms:
Zn1 0.0818 0.2495 0.3948 (multiplicity 4)  4 As 2.41-2.47
Zn2 0.3891 0.6012 0.2224 (multiplicity 4)  4 As 2.45-2.51
As1 0.0667 0.7446 0.8921 (multiplicity 4)  2 Zn 2.41-2.42, 2 As 2.42-2.43
As2 0.2380 0.5126 0.4325 (multiplicity 4)  2 As 2.43-2.46, 2 Zn 2.47-2.51
As3 0.2434 0.5086 0.9361 (multiplicity 4)  2 As 2.42-2.45, 2 Zn 2.47-2.50
As4 0.3852 0.5755 0.7192 (multiplicity 4)  2 As 2.45-2.46, 2 Zn 2.45-2.49

Output
V (A^3/atom): 23.26
Total magnetization (μB/atom): 0.0000
Energy (eV/atom): -13.00
Formation energy (eV per atom): -0.22

---

Density functional theory data (r2SCAN) for a relaxed CaCeIn2 crystal.

abc: 7.7337 7.7337 7.7337
angles: 90.00 90.00 90.00
Last column: nearest neighbours and their distance in Å.
Space group Fm-3m (No. 225)
One atom of each set of equivalent atoms:
Ca1 0.0000 0.0000 0.0000 (multiplicity 4)  8 In 3.35
Ce1 0.0000 0.0000 0.5000 (multiplicity 4)  8 In 3.35
In1 0.2500 0.2500 0.2500 (multiplicity 8)  4 Ce 3.35, 4 Ca 3.35

Output
V (A^3/atom): 28.91
Total magnetization (μB/atom): 0.2601
Energy (eV/atom): -21.33
Formation energy (eV per atom): -0.57

---

> Among the records above, which one has the highest formation energy?

ZnAs2

---

> The lowest energy belongs to which entry?

CaCeIn2

---

What did the third record say?
Density functional theory data (r2SCAN) for a relaxed CaCeIn2 crystal.

abc: 7.7337 7.7337 7.7337
angles: 90.00 90.00 90.00
Last column: nearest neighbours and their distance in Å.
Space group Fm-3m (No. 225)
One atom of each set of equivalent atoms:
Ca1 0.0000 0.0000 0.0000 (multiplicity 4)  8 In 3.35
Ce1 0.0000 0.0000 0.5000 (multiplicity 4)  8 In 3.35
In1 0.2500 0.2500 0.2500 (multiplicity 8)  4 Ce 3.35, 4 Ca 3.35

Output
V (A^3/atom): 28.91
Total magnetization (μB/atom): 0.2601
Energy (eV/atom): -21.33
Formation energy (eV per atom): -0.57